Material: Na3InN2
Method: DFT, PBE-GGA
State: optimized geometry

The calculation puts the formation energy at 0.1 eV/f.u. The volume is 91.6 Å³/f.u.

a b c (Å): 9.838 9.838 9.838
angles (deg): 109.47 109.47 109.47
Atoms (fractional coordinates):
Na  0.020  0.976  0.240
Na  0.024  0.760  0.980
Na  0.044  0.520  0.280
Na  0.220  0.740  0.764
Na  0.236  0.780  0.260
Na  0.240  0.020  0.976
Na  0.260  0.236  0.780
Na  0.264  0.524  0.544
Na  0.280  0.044  0.520
Na  0.456  0.736  0.476
Na  0.476  0.456  0.736
Na  0.480  0.720  0.956
Na  0.520  0.280  0.044
Na  0.524  0.544  0.264
Na  0.544  0.264  0.524
Na  0.720  0.956  0.480
Na  0.736  0.476  0.456
Na  0.740  0.764  0.220
Na  0.760  0.980  0.024
Na  0.764  0.220  0.740
Na  0.780  0.260  0.236
Na  0.956  0.480  0.720
Na  0.976  0.240  0.020
Na  0.980  0.024  0.760
In  0.000  0.227  0.500
In  0.000  0.773  0.500
In  0.227  0.500  0.000
In  0.273  0.273  0.273
In  0.500  0.000  0.227
In  0.500  0.000  0.773
In  0.727  0.727  0.727
In  0.773  0.500  0.000
N  0.000  0.000  0.500
N  0.000  0.500  0.000
N  0.038  0.250  0.288
N  0.212  0.462  0.750
N  0.250  0.288  0.038
N  0.250  0.788  0.538
N  0.288  0.038  0.250
N  0.462  0.750  0.212
N  0.500  0.000  0.000
N  0.500  0.500  0.500
N  0.538  0.250  0.788
N  0.712  0.962  0.750
N  0.750  0.212  0.462
N  0.750  0.712  0.962
N  0.788  0.538  0.250
N  0.962  0.750  0.712